[1]
DFT (GGA+U) results for a relaxed structure of SrNdNiO4.

Summary:
magnetization	1.00	μB/f.u.
crystal system	orthorhombic
E	-6.435	eV/atom
symmetry	Cmcm, No. 63
ΔH_f (0 K)	-2615	meV per atom
polymorph energy (0 for the lowest one)	14	meV per atom

a b c (Å): 6.7905 6.7905 5.4091
angles (deg): 90.00 90.00 133.19
Closest atoms and distances in Å follow each position.
Fractional coordinates of all 14 atoms:
Sr 0.8941 0.1059 0.2500  7 O 2.43-2.71
Sr 0.1059 0.8941 0.7500  7 O 2.43-2.71
Nd 0.3854 0.6146 0.7500  5 O 2.36-2.55
Nd 0.6146 0.3854 0.2500  5 O 2.36-2.55
Ni 0.2497 0.7503 0.2500  5 O 1.91-2.01
Ni 0.7503 0.2497 0.7500  5 O 1.91-2.01
O 0.5746 0.4254 0.7500  1 Ni 2.19, 1 Nd 2.36
O 0.0887 0.9113 0.2500  1 Ni 2.01
O 0.4254 0.5746 0.2500  1 Ni 2.19, 1 Nd 2.36
O 0.9113 0.0887 0.7500  1 Ni 2.01
O 0.0000 0.5000 0.0000  2 Ni 1.91
O 0.5000 0.0000 0.5000  2 Ni 1.91
O 0.0000 0.5000 0.5000  2 Ni 1.91
O 0.5000 0.0000 0.0000  2 Ni 1.91

***

[2]
DFT (GGA+U) results for a relaxed structure of Li6V3P8O29.

Summary:
magnetization	3.00	μB/f.u.
crystal system	triclinic
E	-7.012	eV/atom
symmetry	P1, No. 1
ΔH_f (0 K)	-2653	meV per atom
polymorph energy (0 for the lowest one)	9	meV per atom

a b c (Å): 9.8023 9.7963 13.9820
angles (deg): 90.01 90.29 60.40
Closest atoms and distances in Å follow each position.
Fractional coordinates of all 92 atoms:
Li 0.7607 0.9065 0.5582  4 O 2.03-2.20
Li 0.9006 0.3372 0.5618  4 O 1.94-2.16
Li 0.6725 0.6661 0.8887  1 O 1.87
Li 0.7682 0.3232 0.0620  3 O 1.90-2.00
Li 0.3247 0.9082 0.0588  3 O 1.94-1.99
Li 0.3315 0.7639 0.5628  4 O 2.00-2.14
Li 0.6815 0.0883 0.9394  3 O 1.94-2.00
Li 0.3225 0.3451 0.1095  1 O 1.86
Li 0.0970 0.6658 0.4380  4 O 2.02-2.15
Li 0.2348 0.0988 0.4410  4 O 2.02-2.21
Li 0.0381 0.9408 0.9964  2 O 1.92-1.96
Li 0.9449 0.0396 0.4933  2 O 1.94-2.02
V 0.5626 0.4369 0.2546  6 O 1.86-2.02
V 0.4382 0.5594 0.7492  6 O 1.86-2.04
V 0.5628 0.0002 0.7495  6 O 1.90-2.03
V 0.4362 0.0006 0.2492  6 O 1.91-2.04
V 0.9980 0.5664 0.2445  6 O 1.89-2.01
V 0.0017 0.4359 0.7546  6 O 1.90-2.03
P 0.9137 0.7818 0.8435  4 O 1.48-1.63
P 0.7766 0.9127 0.3403  4 O 1.51-1.61
P 0.9176 0.3114 0.3428  4 O 1.52-1.61
P 0.6612 0.6681 0.1291  4 O 1.50-1.58
P 0.6665 0.6664 0.6292  4 O 1.49-1.59
P 0.7740 0.3162 0.8439  4 O 1.51-1.60
P 0.6955 0.2217 0.6580  4 O 1.50-1.63
P 0.3156 0.9054 0.8428  4 O 1.50-1.62
P 0.6853 0.0924 0.1568  4 O 1.49-1.62
P 0.3138 0.7723 0.3458  4 O 1.52-1.61
P 0.2215 0.6901 0.1603  4 O 1.50-1.62
P 0.3291 0.3359 0.3691  4 O 1.49-1.59
P 0.3381 0.3288 0.8702  4 O 1.50-1.58
P 0.0825 0.6900 0.6567  4 O 1.52-1.60
P 0.2239 0.0890 0.6605  4 O 1.52-1.61
P 0.0882 0.2193 0.1575  4 O 1.49-1.63
O 0.9976 0.7746 0.5659  1 P 1.52
O 0.9179 0.7439 0.3353  1 P 1.55
O 0.7639 0.0101 0.0666  1 P 1.49
O 0.7433 0.9219 0.8405  1 P 1.55
O 0.8996 0.6301 0.8333  1 P 1.57
O 0.8061 0.6684 0.1720  1 P 1.54
O 0.9255 0.4634 0.3272  1 P 1.54
O 0.9897 0.2153 0.0774  1 P 1.49
O 0.9175 0.3405 0.8396  1 P 1.54
O 0.6713 0.8152 0.6707  1 P 1.59
O 0.6186 0.9151 0.3297  1 P 1.54
O 0.8114 0.5156 0.6714  1 P 1.57
O 0.6556 0.6666 0.0217  1 P 1.50
O 0.6672 0.6693 0.5223  1 P 1.49
O 0.6588 0.5198 0.1695  1 P 1.57
O 0.4787 0.8958 0.8297  1 P 1.57
O 0.5104 0.8189 0.1674  1 P 1.58
O 0.7496 0.3443 0.3375  1 P 1.52
O 0.7887 0.2014 0.7584  2 P 1.60-1.63
O 0.8059 0.2056 0.5789  1 P 1.50
O 0.7652 0.2377 0.9345  1 P 1.51
O 0.6279 0.4814 0.8286  1 P 1.56
O 0.5127 0.6743 0.6690  1 P 1.58
O 0.6647 0.2587 0.1609  1 P 1.54
O 0.4725 0.6234 0.3311  1 P 1.53
O 0.3315 0.9200 0.3416  1 P 1.54
O 0.7937 0.0022 0.2485  2 P 1.61-1.62
O 0.7891 0.9887 0.4311  1 P 1.51
O 0.2275 0.0008 0.5706  1 P 1.52
O 0.6627 0.0833 0.6567  1 P 1.54
O 0.5448 0.3813 0.6632  1 P 1.53
O 0.3448 0.7373 0.8350  1 P 1.53
O 0.4770 0.3351 0.3231  1 P 1.58
O 0.3743 0.5298 0.1661  1 P 1.55
O 0.2112 0.7958 0.0800  1 P 1.50
O 0.2318 0.7686 0.4365  1 P 1.52
O 0.1997 0.7863 0.2583  2 P 1.61-1.62
O 0.2511 0.6621 0.6583  1 P 1.54
O 0.4880 0.1771 0.8324  1 P 1.58
O 0.5197 0.1093 0.1725  1 P 1.56
O 0.3471 0.4691 0.8231  1 P 1.57
O 0.3461 0.3283 0.9771  1 P 1.50
O 0.3292 0.3309 0.4755  1 P 1.49
O 0.1858 0.4894 0.3288  1 P 1.57
O 0.3770 0.0949 0.6735  1 P 1.54
O 0.3245 0.1879 0.3266  1 P 1.59
O 0.0839 0.6546 0.1591  1 P 1.55
O 0.9915 0.8006 0.7453  2 P 1.60-1.63
O 0.0030 0.7921 0.9259  1 P 1.48
O 0.0805 0.5347 0.6720  1 P 1.55
O 0.1896 0.3330 0.8285  1 P 1.55
O 0.1037 0.3693 0.1664  1 P 1.56
O 0.2574 0.0780 0.1558  1 P 1.55
O 0.2328 0.9839 0.9332  1 P 1.50
O 0.2053 0.0006 0.7523  2 P 1.61-1.62
O 0.0796 0.2551 0.6611  1 P 1.54
O 0.9982 0.2268 0.4353  1 P 1.52
O 0.0166 0.1963 0.2571  2 P 1.61-1.63

***

[3]
DFT (GGA+U) results for a relaxed structure of P4WO12.

Summary:
crystal system	monoclinic
E	-7.257	eV/atom
symmetry	C2/c, No. 15
ΔH_f (0 K)	-2474	meV per atom
polymorph energy (0 for the lowest one)	6	meV per atom

a b c (Å): 7.3505 7.3505 10.4547
angles (deg): 65.53 65.53 69.58
Closest atoms and distances in Å follow each position.
Fractional coordinates of all 34 atoms:
P 0.2857 0.3132 0.6959  4 O 1.46-1.63
P 0.2530 0.7286 0.4801  4 O 1.50-1.60
P 0.2714 0.7470 0.0199  4 O 1.50-1.60
P 0.3132 0.2857 0.1959  4 O 1.46-1.63
P 0.6868 0.7143 0.8041  4 O 1.46-1.63
P 0.7286 0.2530 0.9801  4 O 1.50-1.60
P 0.7470 0.2714 0.5199  4 O 1.50-1.60
P 0.7143 0.6868 0.3041  4 O 1.46-1.63
W 0.0531 0.9469 0.7500  6 O 2.03-2.08
W 0.9469 0.0531 0.2500  6 O 2.03-2.08
O 0.8079 0.6434 0.1631  1 P 1.46
O 0.8032 0.2563 0.0937  1 P 1.51
O 0.4677 0.7148 0.3550  2 P 1.58-1.63
O 0.2563 0.8032 0.5937  1 P 1.51
O 0.2243 0.4974 0.5554  2 P 1.60-1.63
O 0.2500 0.1275 0.6860  1 P 1.53
O 0.4974 0.2243 0.0554  2 P 1.60-1.63
O 0.3566 0.1921 0.3369  1 P 1.46
O 0.0908 0.8441 0.4056  1 P 1.50
O 0.8725 0.7500 0.8140  1 P 1.53
O 0.2852 0.5323 0.1450  2 P 1.58-1.63
O 0.1559 0.9092 0.0944  1 P 1.50
O 0.8441 0.0908 0.9056  1 P 1.50
O 0.7148 0.4677 0.8550  2 P 1.58-1.63
O 0.1275 0.2500 0.1860  1 P 1.53
O 0.9092 0.1559 0.5944  1 P 1.50
O 0.6434 0.8079 0.6631  1 P 1.46
O 0.5026 0.7757 0.9446  2 P 1.60-1.63
O 0.7500 0.8725 0.3140  1 P 1.53
O 0.7757 0.5026 0.4446  2 P 1.60-1.63
O 0.7437 0.1968 0.4063  1 P 1.51
O 0.5323 0.2852 0.6450  2 P 1.58-1.63
O 0.1968 0.7437 0.9063  1 P 1.51
O 0.1921 0.3566 0.8369  1 P 1.46

***

[4]
DFT (GGA+U) results for a relaxed structure of Li2VO2F2.

Summary:
magnetization	1.00	μB/f.u.
crystal system	monoclinic
E	-6.000	eV/atom
symmetry	Pc, No. 7
ΔH_f (0 K)	-2767	meV per atom
polymorph energy (0 for the lowest one)	69	meV per atom

a b c (Å): 11.2390 5.0461 5.1636
angles (deg): 88.77 90.00 90.00
Closest atoms and distances in Å follow each position.
Fractional coordinates of all 28 atoms:
Li 0.3606 0.0017 0.2485  2 O 1.95-1.96
Li 0.6394 0.0017 0.7485  2 O 1.95-1.96
Li 0.2158 0.9985 0.7449  3 F 1.94-2.15, 1 O 2.15
Li 0.7842 0.9985 0.2449  3 F 1.94-2.15, 1 O 2.15
Li 0.8593 0.4966 0.2257  1 O 1.98, 1 F 1.99
Li 0.2865 0.5092 0.2485  3 F 1.97-2.08, 1 O 1.99
Li 0.7135 0.5092 0.7485  3 F 1.97-2.08, 1 O 1.99
Li 0.1407 0.4966 0.7257  1 O 1.98, 1 F 1.99
V 0.0734 0.0057 0.2863  3 O 1.75-1.96
V 0.9266 0.0057 0.7863  3 O 1.75-1.96
V 0.5519 0.5014 0.2480  4 O 1.83-1.98
V 0.4481 0.5014 0.7480  4 O 1.83-1.98
O 0.0521 0.1904 0.5918  2 V 1.86-1.96, 1 Li 1.98
O 0.9479 0.1904 0.0918  2 V 1.86-1.96, 1 Li 1.98
O 0.5525 0.2906 0.5747  2 V 1.83-1.98, 1 Li 1.96
O 0.4475 0.2906 0.0747  2 V 1.83-1.98, 1 Li 1.96
O 0.4461 0.7099 0.4191  2 V 1.83-1.98, 1 Li 1.95
O 0.5539 0.7099 0.9191  2 V 1.83-1.98, 1 Li 1.95
O 0.1810 0.7807 0.4005  1 V 1.75
O 0.8190 0.7807 0.9005  1 V 1.75
F 0.1932 0.2247 0.0897  2 Li 1.97-2.15, 1 V 2.00
F 0.8068 0.2247 0.5897  2 Li 1.97-2.15, 1 V 2.00
F 0.3063 0.2892 0.5902  2 Li 1.94-2.08, 1 V 2.09
F 0.6937 0.2892 0.0902  2 Li 1.94-2.08, 1 V 2.09
F 0.3092 0.7180 0.9065  2 Li 1.94-2.05, 1 V 2.08
F 0.6908 0.7180 0.4065  2 Li 1.94-2.05, 1 V 2.08
F 0.0653 0.7835 0.9256  2 Li 1.99-2.20, 2 V 2.04-2.20
F 0.9347 0.7835 0.4256  2 Li 1.99-2.20, 2 V 2.04-2.20

***

[5]
DFT (GGA+U) results for a relaxed structure of Li9Mn2Co5O16.

Summary:
magnetization	8.00	μB/f.u.
crystal system	monoclinic
E	-5.829	eV/atom
symmetry	C2, No. 5
ΔH_f (0 K)	-1839	meV per atom
polymorph energy (0 for the lowest one)	26	meV per atom

a b c (Å): 8.9598 8.9598 5.8450
angles (deg): 89.73 89.73 37.64
Closest atoms and distances in Å follow each position.
Fractional coordinates of all 32 atoms:
Li 0.8747 0.1253 0.0000  6 O 2.12-2.22
Li 0.1252 0.3759 0.4983  6 O 2.06-2.19
Li 0.7443 0.4924 0.7467  5 O 2.09-2.18
Li 0.0003 0.7528 0.2535  6 O 2.06-2.29
Li 0.6241 0.8748 0.5017  6 O 2.06-2.19
Li 0.5076 0.2557 0.2533  5 O 2.09-2.18
Li 0.3740 0.6260 0.0000  6 O 2.06-2.18
Li 0.2472 0.9997 0.7465  6 O 2.06-2.29
Li 0.8724 0.1276 0.5000  6 O 2.06-2.16
Mn 0.0032 0.7484 0.7443  6 O 1.91-1.98
Mn 0.2516 0.9968 0.2557  6 O 1.91-1.98
Co 0.5089 0.2499 0.7433  5 O 1.92-2.06
Co 0.7501 0.4911 0.2567  5 O 1.92-2.06
Co 0.1262 0.3719 0.9988  6 O 1.94-2.11
Co 0.3728 0.6272 0.5000  4 O 1.90-1.94
Co 0.6281 0.8738 0.0012  6 O 1.94-2.11
O 0.7632 0.9869 0.9855  1 Mn 1.98, 2 Co 2.06-2.11, 3 Li 2.08-2.18
O 0.0033 0.2509 0.4751  1 Co 1.92, 1 Mn 1.94, 2 Li 2.10-2.14
O 0.5995 0.3911 0.7313  2 Co 1.90-1.97, 3 Li 2.06-2.09
O 0.8754 0.6216 0.2231  2 Co 1.94-1.95, 1 Li 2.15
O 0.4913 0.7656 0.4858  1 Mn 1.92, 1 Co 2.05, 2 Li 2.06
O 0.3661 0.1160 0.2436  1 Mn 1.98, 2 Co 2.03-2.04, 2 Li 2.08-2.09
O 0.2458 0.4973 0.9768  1 Mn 1.97, 2 Co 2.01-2.08, 3 Li 2.17-2.18
O 0.1256 0.8515 0.7343  1 Mn 1.91, 1 Co 1.94, 2 Li 2.06-2.08
O 0.0131 0.2368 0.0145  1 Mn 1.98, 2 Co 2.06-2.11, 3 Li 2.08-2.18
O 0.2344 0.5087 0.5142  1 Mn 1.92, 1 Co 2.05, 2 Li 2.06
O 0.8840 0.6339 0.7564  1 Mn 1.98, 2 Co 2.03-2.04, 2 Li 2.08-2.09
O 0.1485 0.8744 0.2657  1 Mn 1.91, 1 Co 1.94, 2 Li 2.06-2.08
O 0.7491 0.9967 0.5249  1 Co 1.92, 1 Mn 1.94, 2 Li 2.10-2.14
O 0.6089 0.4005 0.2687  2 Co 1.90-1.97, 3 Li 2.06-2.09
O 0.5027 0.7542 0.0232  1 Mn 1.97, 2 Co 2.01-2.08, 3 Li 2.17-2.18
O 0.3784 0.1246 0.7769  2 Co 1.94-1.95, 1 Li 2.15

***

[6]
DFT (GGA+U) results for a relaxed structure of Ba5Co4PtClO13.

Summary:
magnetization	11.03	μB/f.u.
crystal system	hexagonal
E	-5.959	eV/atom
symmetry	P6_3/mmc, No. 194
ΔH_f (0 K)	-2010	meV per atom
polymorph energy (0 for the lowest one)	0	meV per atom

a b c (Å): 5.8267 5.8267 25.3445
angles (deg): 90.00 90.00 120.00
Closest atoms and distances in Å follow each position.
Fractional coordinates of all 48 atoms:
Ba 0.3333 0.6667 0.6296  9 O 2.68-2.97
Ba 0.6667 0.3333 0.3704  9 O 2.68-2.97
Ba 0.6667 0.3333 0.1296  9 O 2.68-2.97
Ba 0.3333 0.6667 0.8704  9 O 2.68-2.97
Ba 0.3333 0.6667 0.0405  9 O 2.93-2.96
Ba 0.6667 0.3333 0.9595  9 O 2.93-2.96
Ba 0.6667 0.3333 0.5405  9 O 2.93-2.96
Ba 0.3333 0.6667 0.4595  9 O 2.93-2.96
Ba 0.0000 0.0000 0.7500  6 O 2.99
Ba 0.0000 0.0000 0.2500  6 O 2.99
Co 0.3333 0.6667 0.1779  4 O 1.83-1.84
Co 0.6667 0.3333 0.8221  4 O 1.83-1.84
Co 0.6667 0.3333 0.6779  4 O 1.83-1.84
Co 0.3333 0.6667 0.3221  4 O 1.83-1.84
Co 0.0000 0.0000 0.3931  6 O 2.00-2.08
Co 0.0000 0.0000 0.6069  6 O 2.00-2.08
Co 0.0000 0.0000 0.8931  6 O 2.00-2.08
Co 0.0000 0.0000 0.1069  6 O 2.00-2.08
Pt 0.0000 0.0000 0.0000  6 O 2.03
Pt 0.0000 0.0000 0.5000  6 O 2.03
Cl 0.3333 0.6667 0.7500  5 Ba 3.05-3.36, 3 O 3.36
Cl 0.6667 0.3333 0.2500  5 Ba 3.05-3.36, 3 O 3.36
O 0.6940 0.8470 0.5518  1 Pt 2.03, 1 Co 2.08
O 0.1530 0.8470 0.5518  1 Pt 2.03, 1 Co 2.08
O 0.1530 0.3060 0.5518  1 Pt 2.03, 1 Co 2.08
O 0.3060 0.1530 0.4482  1 Pt 2.03, 1 Co 2.08
O 0.8470 0.1530 0.4482  1 Pt 2.03, 1 Co 2.08
O 0.8470 0.6940 0.4482  1 Pt 2.03, 1 Co 2.08
O 0.3060 0.1530 0.0518  1 Pt 2.03, 1 Co 2.08
O 0.8470 0.1530 0.0518  1 Pt 2.03, 1 Co 2.08
O 0.8470 0.6940 0.0518  1 Pt 2.03, 1 Co 2.08
O 0.6940 0.8470 0.9482  1 Pt 2.03, 1 Co 2.08
O 0.1530 0.8470 0.9482  1 Pt 2.03, 1 Co 2.08
O 0.1530 0.3060 0.9482  1 Pt 2.03, 1 Co 2.08
O 0.3262 0.1631 0.6514  2 Co 1.84-2.00
O 0.8369 0.1631 0.6514  2 Co 1.84-2.00
O 0.8369 0.6738 0.6514  2 Co 1.84-2.00
O 0.6738 0.8369 0.3486  2 Co 1.84-2.00
O 0.1631 0.8369 0.3486  2 Co 1.84-2.00
O 0.1631 0.3262 0.3486  2 Co 1.84-2.00
O 0.6738 0.8369 0.1514  2 Co 1.84-2.00
O 0.1631 0.8369 0.1514  2 Co 1.84-2.00
O 0.1631 0.3262 0.1514  2 Co 1.84-2.00
O 0.3262 0.1631 0.8486  2 Co 1.84-2.00
O 0.8369 0.1631 0.8486  2 Co 1.84-2.00
O 0.8369 0.6738 0.8486  2 Co 1.84-2.00
O 0.3333 0.6667 0.2500  2 Co 1.83
O 0.6667 0.3333 0.7500  2 Co 1.83